The following is a DFT calculation (PBE) of a relaxed structure of Sr3UO6.

The structure belongs to space group P2_1 (No. 4); the cell edges are 6.059, 6.269 and 8.706 Å and the angles 90.00°, 90.12° and 90.00°. The inequivalent atoms are Sr at (0.239, 0.000, 0.006), Sr at (0.249, 0.451, 0.249), Sr at (0.257, 0.902, 0.496), U at (0.254, 0.451, 0.750), O at (0.030, 0.778, 0.198), O at (0.090, 0.732, 0.817), O at (0.140, 0.510, 0.525), O at (0.365, 0.394, 0.976), O at (0.420, 0.171, 0.679) and O at (0.458, 0.119, 0.298).

For the uncorrected energy, the calculation gives -7.726 eV/atom. The value obtained for the spin magnetization is 0.0 μB per cell.